(1)
A relaxed CeSe2 crystal. Source: the Materials Project database, functional PBE-GGA.

abc: 4.924 6.893 4.861
angles: 90.00 90.00 90.00
Space group Pmmn (No. 59, origin choice 2)
One atom of each set of equivalent atoms:
Ce: 0.250 0.250 0.238 (multiplicity 2)
Se: 0.250 0.503 0.752 (multiplicity 4)

Properties
Size of the total moment   0.000 μB/cell
Calculated formation energy   -5.7 eV/f.u.

---

(2)
A relaxed MgAg20Bi4O16 crystal. Source: the Materials Project database, functional PBE-GGA.

abc: 5.976 9.146 13.746
angles: 86.39 85.70 89.05
Space group P1 (No. 1)
One atom of each set of equivalent atoms:
Mg: 0.000 0.000 0.000 (multiplicity 1)
Ag: 0.003 0.373 0.955 (multiplicity 1)
Ag: 0.022 0.042 0.393 (multiplicity 1)
Ag: 0.025 0.020 0.624 (multiplicity 1)
Ag: 0.058 0.672 0.299 (multiplicity 1)
Ag: 0.122 0.081 0.186 (multiplicity 1)
Ag: 0.175 0.853 0.847 (multiplicity 1)
Ag: 0.229 0.269 0.762 (multiplicity 1)
Ag: 0.274 0.789 0.480 (multiplicity 1)
Ag: 0.329 0.316 0.270 (multiplicity 1)
Ag: 0.407 0.845 0.008 (multiplicity 1)
Ag: 0.443 0.583 0.864 (multiplicity 1)
Ag: 0.458 0.571 0.132 (multiplicity 1)
Ag: 0.477 0.508 0.615 (multiplicity 1)
Ag: 0.553 0.164 0.457 (multiplicity 1)
Ag: 0.577 0.543 0.379 (multiplicity 1)
Ag: 0.631 0.947 0.829 (multiplicity 1)
Ag: 0.727 0.266 0.759 (multiplicity 1)
Ag: 0.760 0.793 0.481 (multiplicity 1)
Ag: 0.818 0.314 0.259 (multiplicity 1)
Ag: 0.833 0.709 0.986 (multiplicity 1)
Bi: 0.031 0.399 0.505 (multiplicity 1)
Bi: 0.507 0.233 0.013 (multiplicity 1)
Bi: 0.596 0.921 0.239 (multiplicity 1)
Bi: 0.931 0.624 0.716 (multiplicity 1)
O: 0.005 0.656 0.544 (multiplicity 1)
O: 0.054 0.433 0.333 (multiplicity 1)
O: 0.135 0.164 0.506 (multiplicity 1)
O: 0.146 0.179 0.033 (multiplicity 1)
O: 0.287 0.631 0.724 (multiplicity 1)
O: 0.391 0.451 0.012 (multiplicity 1)
O: 0.468 0.177 0.855 (multiplicity 1)
O: 0.503 0.688 0.255 (multiplicity 1)
O: 0.525 0.935 0.408 (multiplicity 1)
O: 0.578 0.197 0.187 (multiplicity 1)
O: 0.665 0.385 0.500 (multiplicity 1)
O: 0.745 0.903 0.073 (multiplicity 1)
O: 0.848 0.549 0.879 (multiplicity 1)
O: 0.919 0.869 0.738 (multiplicity 1)
O: 0.945 0.902 0.275 (multiplicity 1)
O: 0.988 0.374 0.674 (multiplicity 1)

Properties
Relative energy among the computed polymorphs   4.0 kJ/mol of atoms
Size of the total moment   0.000 μB/cell
Calculated formation energy   -26.9 eV/f.u.

---

no.,DFT total energy (eV/atom)
1,-5.898
2,-4.119